The following is a r²SCAN calculation of a relaxed structure of CsVF4, from the Materials Project database.

Properties
Formation energy (eV per formula unit): -19.4
Magnetization (μB/atom): 0.33

a = 7.7274 Å, b = 6.5762 Å, c = 10.9017 Å
α = 90.00°, β = 134.79°, γ = 90.00°
Fractional positions:
Cs: 0.0000 0.0113 0.2500
Cs: 0.0000 0.9887 0.7500
Cs: 0.5000 0.0476 0.7500
Cs: 0.5000 0.9524 0.2500
V: 0.0000 0.5000 0.0000
V: 0.0000 0.5000 0.5000
V: 0.5000 0.5000 0.0000
V: 0.5000 0.5000 0.5000
F: 0.0436 0.2149 0.0164
F: 0.0436 0.7851 0.5164
F: 0.1955 0.4656 0.4501
F: 0.1955 0.5344 0.9501
F: 0.3020 0.4670 0.7545
F: 0.3020 0.5330 0.2545
F: 0.4943 0.2147 0.0191
F: 0.4943 0.7853 0.5191
F: 0.5057 0.2147 0.4809
F: 0.5057 0.7853 0.9809
F: 0.6980 0.4670 0.7455
F: 0.6980 0.5330 0.2455
F: 0.8045 0.4656 0.0499
F: 0.8045 0.5344 0.5499
F: 0.9564 0.2149 0.4836
F: 0.9564 0.7851 0.9836